i:
BiTe: relaxed, PBE-GGA.

Space-group type: P-3m1, No. 164

Lattice parameters (Å, degrees): 4.4809 4.4809 24.9575 90.00 90.00 120.00
Last column: nearest neighbours and their distance in Å.
Element x y z (fractional)
Bi 0.3333 0.6667 0.2910  6 Te 3.11-3.28
Bi 0.6667 0.3333 0.4664  3 Bi 3.08
Bi 0.3333 0.6667 0.5336  3 Bi 3.08
Bi 0.0000 0.0000 0.8713  6 Te 3.09-3.29
Bi 0.0000 0.0000 0.1287  6 Te 3.09-3.29
Bi 0.6667 0.3333 0.7090  6 Te 3.11-3.28
Te 0.0000 0.0000 0.6399  3 Bi 3.11
Te 0.0000 0.0000 0.3601  3 Bi 3.11
Te 0.6667 0.3333 0.2103  6 Bi 3.28-3.29
Te 0.3333 0.6667 0.7897  6 Bi 3.28-3.29
Te 0.3333 0.6667 0.0607  3 Bi 3.09
Te 0.6667 0.3333 0.9393  3 Bi 3.09


ii:
BiTe: relaxed, PBE-GGA.

Spin magnetization: 0.00 μB per cell
Space-group type: Cmmm, No. 65

Lattice parameters (Å, degrees): 3.6986 3.6986 5.0577 90.00 90.00 115.38
Last column: nearest neighbours and their distance in Å.
Element x y z (fractional)
Bi 0.0000 0.0000 0.0000  4 Te 3.21
Te 0.5000 0.5000 0.5000  4 Bi 3.21


Which is the most stable structure? i is the most stable.